Material: Nd4Mg
Method: DFT, GGA-PBE
State: relaxed

Unit cell a=8.171 b=8.171 c=8.171 alpha=60.00 beta=60.00 gamma=60.00
Fractional coordinates of all 10 atoms:
Nd 0.604 0.604 0.604
Nd 0.187 0.604 0.604
Nd 0.604 0.187 0.604
Nd 0.563 0.146 0.146
Nd 0.146 0.146 0.146
Nd 0.604 0.604 0.187
Nd 0.146 0.563 0.146
Nd 0.146 0.146 0.563
Mg 0.000 0.000 0.000
Mg 0.750 0.750 0.750

Computed properties:
Symmetry: Fd-3m
Total energy: -3.552 eV per atom
Volume: 38.57 A^3/atom
Calculated formation energy: 0.58 eV per atom